Record 1
A relaxed structure of Rb4MgV4Cu2P4O24. Source: the Materials Project database, functional GGA+U.

Cell lengths 5.350, 9.793, 11.398 Å; angles 90.56, 89.75, 92.52 degrees
Fractional coordinates of all 39 atoms:
Rb  0.465  0.099  0.340
Rb  0.546  0.825  0.648
Rb  0.572  0.397  0.880
Rb  0.450  0.623  0.153
Mg  0.055  0.995  0.614
V  0.084  0.753  0.896
V  0.941  0.246  0.108
V  0.941  0.746  0.393
V  0.034  0.263  0.608
Cu  0.511  0.006  0.002
Cu  0.502  0.500  0.494
P  0.050  0.099  0.859
P  0.980  0.919  0.139
P  0.968  0.415  0.358
P  0.023  0.584  0.641
O  0.054  0.071  0.174
O  0.052  0.318  0.259
O  0.107  0.868  0.493
O  0.639  0.277  0.117
O  0.821  0.143  0.559
O  0.919  0.642  0.975
O  0.863  0.110  0.963
O  0.938  0.437  0.682
O  0.973  0.690  0.740
O  0.848  0.622  0.540
O  0.684  0.397  0.381
O  0.119  0.366  0.469
O  0.065  0.826  0.237
O  0.146  0.887  0.025
O  0.638  0.769  0.372
O  0.326  0.117  0.895
O  0.085  0.359  0.021
O  0.698  0.900  0.112
O  0.292  0.167  0.608
O  0.376  0.703  0.887
O  0.008  0.956  0.792
O  0.304  0.588  0.611
O  0.057  0.563  0.329
O  0.975  0.212  0.774

- DFT formation energy: -92.3 eV per formula unit
- Total magnetization: 0.43 μB/cell

***

Record 2
A relaxed structure of Rb4MgV4Cu2P4O24. Source: the Materials Project database, functional GGA+U.

Cell lengths 5.369, 9.479, 11.898 Å; angles 90.06, 89.75, 95.37 degrees
Fractional coordinates of all 39 atoms:
Rb  0.469  0.071  0.410
Rb  0.577  0.870  0.655
Rb  0.535  0.395  0.846
Rb  0.434  0.637  0.130
Mg  0.335  0.266  0.193
V  0.050  0.743  0.885
V  0.918  0.242  0.089
V  0.942  0.749  0.390
V  0.060  0.249  0.609
Cu  0.497  0.997  0.995
Cu  0.494  0.496  0.501
P  0.020  0.082  0.858
P  0.993  0.921  0.137
P  0.962  0.412  0.367
P  0.021  0.582  0.635
O  0.099  0.081  0.160
O  0.043  0.312  0.274
O  0.116  0.860  0.472
O  0.640  0.310  0.125
O  0.907  0.124  0.532
O  0.882  0.622  0.961
O  0.838  0.131  0.952
O  0.941  0.427  0.673
O  0.954  0.681  0.733
O  0.847  0.618  0.534
O  0.677  0.382  0.391
O  0.130  0.382  0.471
O  0.052  0.832  0.241
O  0.148  0.869  0.036
O  0.649  0.792  0.386
O  0.297  0.104  0.890
O  0.175  0.350  0.052
O  0.711  0.916  0.114
O  0.362  0.224  0.616
O  0.348  0.709  0.880
O  0.933  0.924  0.834
O  0.302  0.605  0.607
O  0.033  0.567  0.328
O  0.959  0.172  0.756

- DFT formation energy: -92.0 eV per formula unit
- Total magnetization: 0.98 μB/cell

***

Record 3
A relaxed structure of Mg6VCuO8. Source: the Materials Project database, functional GGA+U.

Cell lengths 8.642, 4.235, 4.235 Å; angles 90.00, 90.00, 90.00 degrees
Fractional coordinates of all 16 atoms:
Mg  0.500  0.000  0.000
Mg  0.500  0.500  0.500
Mg  0.252  0.000  0.500
Mg  0.748  0.000  0.500
Mg  0.252  0.500  0.000
Mg  0.748  0.500  0.000
V  0.000  0.500  0.500
Cu  0.000  0.000  0.000
O  0.261  0.000  0.000
O  0.739  0.000  0.000
O  0.249  0.500  0.500
O  0.751  0.500  0.500
O  0.000  0.000  0.500
O  0.500  0.000  0.500
O  0.000  0.500  0.000
O  0.500  0.500  0.000

- DFT formation energy: -42.5 eV per formula unit
- Total magnetization: 2.22 μB/cell